[1]
A plane-wave DFT calculation with PBE with a Hubbard U was carried out for a geometry-optimized Dy2CoPtO6 structure.

Calculated values
E_tot = -0.530 Ry per atom
total magnetization = 3.000 μB/f.u.

abc: 5.336 5.774 9.348
angles: 90.00 124.59 90.00
Sites, in units of the cell vectors:
Dy (0.223, 0.076, 0.248)
Dy (0.223, 0.424, 0.748)
Dy (0.777, 0.576, 0.252)
Dy (0.777, 0.924, 0.752)
Co (0.000, 0.000, 0.500)
Co (0.000, 0.500, 0.000)
Pt (0.500, 0.000, 0.000)
Pt (0.500, 0.500, 0.500)
O (0.126, 0.189, 0.942)
O (0.126, 0.311, 0.442)
O (0.251, 0.698, 0.934)
O (0.251, 0.802, 0.434)
O (0.378, 0.051, 0.751)
O (0.378, 0.449, 0.251)
O (0.622, 0.551, 0.749)
O (0.622, 0.949, 0.249)
O (0.749, 0.198, 0.566)
O (0.749, 0.302, 0.066)
O (0.874, 0.689, 0.558)
O (0.874, 0.811, 0.058)

[2]
A plane-wave DFT calculation with PBE with a Hubbard U was carried out for a geometry-optimized Dy2CoTe2S2O14 structure.

Calculated values
E_tot = -0.483 Ry per atom
total magnetization = 3.001 μB/f.u.

abc: 5.301 7.919 8.200
angles: 64.24 73.07 85.71
Sites, in units of the cell vectors:
Dy (0.085, 0.252, 0.016)
Dy (0.915, 0.748, 0.984)
Co (0.000, 0.000, 0.500)
Te (0.482, 0.728, 0.663)
Te (0.518, 0.272, 0.337)
S (0.233, 0.755, 0.249)
S (0.767, 0.245, 0.751)
O (0.095, 0.595, 0.254)
O (0.131, 0.775, 0.427)
O (0.177, 0.925, 0.087)
O (0.245, 0.562, 0.896)
O (0.247, 0.923, 0.669)
O (0.277, 0.192, 0.249)
O (0.479, 0.271, 0.786)
O (0.521, 0.729, 0.214)
O (0.723, 0.808, 0.751)
O (0.753, 0.077, 0.331)
O (0.755, 0.438, 0.104)
O (0.823, 0.075, 0.913)
O (0.869, 0.225, 0.573)
O (0.905, 0.405, 0.746)

[3]
A plane-wave DFT calculation with PBE with a Hubbard U was carried out for a geometry-optimized SmDyCo4O12 structure.

Calculated values
E_tot = -0.448 Ry per atom
total magnetization = 14.130 μB/f.u.

abc: 5.247 5.247 7.490
angles: 90.00 90.00 90.00
Sites, in units of the cell vectors:
Sm (0.000, 0.000, 0.000)
Dy (0.500, 0.500, 0.500)
Co (0.000, 0.500, 0.250)
Co (0.000, 0.500, 0.750)
Co (0.500, 0.000, 0.250)
Co (0.500, 0.000, 0.750)
O (0.000, 0.500, 0.000)
O (0.000, 0.500, 0.500)
O (0.252, 0.252, 0.253)
O (0.252, 0.252, 0.747)
O (0.252, 0.748, 0.253)
O (0.252, 0.748, 0.747)
O (0.500, 0.000, 0.000)
O (0.500, 0.000, 0.500)
O (0.748, 0.252, 0.253)
O (0.748, 0.252, 0.747)
O (0.748, 0.748, 0.253)
O (0.748, 0.748, 0.747)

[4]
A plane-wave DFT calculation with PBE with a Hubbard U was carried out for a geometry-optimized SrDyCoO4 structure.

Calculated values
E_tot = -0.501 Ry per atom
total magnetization = 0.000 μB/f.u.

abc: 6.688 6.688 5.369
angles: 90.00 90.00 133.11
Sites, in units of the cell vectors:
Sr (0.104, 0.896, 0.750)
Sr (0.896, 0.104, 0.250)
Dy (0.386, 0.614, 0.750)
Dy (0.614, 0.386, 0.250)
Co (0.250, 0.750, 0.250)
Co (0.750, 0.250, 0.750)
O (0.000, 0.500, 0.000)
O (0.000, 0.500, 0.500)
O (0.090, 0.910, 0.250)
O (0.434, 0.566, 0.250)
O (0.500, 0.000, 0.000)
O (0.500, 0.000, 0.500)
O (0.566, 0.434, 0.750)
O (0.910, 0.090, 0.750)

The highest E_tot belongs to which entry?
SmDyCo4O12